DFT (GGA-PBE) results for a relaxed structure of K2Pd3S2.

The structure in POSCAR format:
```
K2Pd3S2
1.0
8.243 0.000 0.000
4.122 5.242 0.000
4.122 0.000 15.921
K Pd S
8 12 8
direct
0.648 0.158 0.094 K
0.259 0.842 0.094 K
0.194 0.158 0.906 K
0.102 0.342 0.406 K
0.900 0.842 0.906 K
0.491 0.658 0.406 K
0.556 0.342 0.594 K
0.850 0.658 0.594 K
0.509 0.249 0.786 Pd
0.705 0.751 0.786 Pd
0.242 0.249 0.214 Pd
0.241 0.251 0.714 Pd
0.545 0.751 0.214 Pd
0.045 0.749 0.714 Pd
0.508 0.251 0.286 Pd
0.205 0.749 0.286 Pd
0.875 0.250 0.250 Pd
0.875 0.750 0.250 Pd
0.875 0.250 0.750 Pd
0.375 0.750 0.750 Pd
0.831 0.458 0.117 S
0.052 0.542 0.117 S
0.711 0.458 0.883 S
0.919 0.042 0.383 S
0.406 0.542 0.883 S
0.698 0.958 0.383 S
0.039 0.042 0.617 S
0.344 0.958 0.617 S
```

## Properties
Volume = 688.0 Å³/cell
ρ = 4.46 g/cm3
Energy relative to the elements = -0.408 eV/atom